Below is a relaxed structure of SrB12H12O8, with properties calculated at the PBE level.

Structure (POSCAR):
```
SrB12H12O8
1.0
4.226 2.440 5.187
-4.226 2.440 5.187
0.000 -4.879 5.187
Sr B H O
1 12 12 8
Direct
0.000 0.000 0.000
0.278 0.444 0.510
0.294 0.586 0.693
0.307 0.706 0.414
0.414 0.307 0.706
0.444 0.510 0.278
0.490 0.722 0.556
0.510 0.278 0.444
0.556 0.490 0.722
0.586 0.693 0.294
0.693 0.294 0.586
0.706 0.414 0.307
0.722 0.556 0.490
0.054 0.282 0.191
0.125 0.401 0.525
0.191 0.054 0.282
0.282 0.191 0.054
0.401 0.525 0.125
0.475 0.875 0.599
0.525 0.125 0.401
0.599 0.475 0.875
0.718 0.809 0.946
0.809 0.946 0.718
0.875 0.599 0.475
0.946 0.718 0.809
0.148 0.663 0.836
0.164 0.852 0.337
0.203 0.203 0.203
0.337 0.164 0.852
0.663 0.836 0.148
0.797 0.797 0.797
0.836 0.148 0.663
0.852 0.337 0.164
```

Properties
Space group: R-3 (148)
MP2020-corrected energy in Ry/atom: -0.43053
ρ in g/cm3: 1.9
Polymorph energy (0 for the lowest one) in meV per atom: 0
Calculated formation energy in eV per atom: -0.944